1.
Crystalline RbBiO3 at its relaxed geometry. Source: the Materials Project database, functional r2SCAN.

Cell: 4.2598 4.2598 4.2598 Å, 90.00 90.00 90.00°
Sites, in units of the cell vectors:
1 O 0.5000 0.0000 0.5000
2 O 0.5000 0.5000 0.0000
3 O 0.0000 0.5000 0.5000
4 Rb 0.0000 0.0000 0.0000
5 Bi 0.5000 0.5000 0.5000

The total energy comes out at -19.257 eV/atom.

---

2.
Crystalline Sr7Ag3 at its relaxed geometry. Source: the Materials Project database, functional r2SCAN.

Cell: 7.2884 11.3645 11.3645 Å, 120.00 90.00 90.00°
Sites, in units of the cell vectors:
1 Sr 0.4386 0.9168 0.4584
2 Sr 0.4386 0.5416 0.0832
3 Sr 0.9386 0.0831 0.5416
4 Sr 0.9386 0.4584 0.9168
5 Sr 0.7477 0.8750 0.1250
6 Sr 0.7477 0.8750 0.7500
7 Sr 0.2477 0.7500 0.8750
8 Sr 0.4386 0.5416 0.4584
9 Sr 0.2477 0.1250 0.2500
10 Sr 0.9509 0.6667 0.3333
11 Sr 0.2477 0.1250 0.8750
12 Sr 0.4509 0.3333 0.6667
13 Sr 0.9386 0.4584 0.5416
14 Sr 0.7477 0.2500 0.1250
15 Ag 0.6681 0.1886 0.3772
16 Ag 0.1681 0.8114 0.6228
17 Ag 0.6681 0.1886 0.8114
18 Ag 0.1681 0.8114 0.1886
19 Ag 0.6681 0.6228 0.8114
20 Ag 0.1681 0.3772 0.1886

The total energy comes out at -17.159 eV/atom.

---

3.
Crystalline Lu6Ta4Al43 at its relaxed geometry. Source: the Materials Project database, functional r2SCAN.

Cell: 10.9763 10.9763 17.6143 Å, 90.00 90.00 120.00°
Sites, in units of the cell vectors:
1 Al 0.2565 0.0000 0.5298
2 Al 0.1583 0.3958 0.8383
3 Al 0.7526 0.2474 0.5000
4 Al 0.3958 0.2375 0.1617
5 Al 0.0000 0.1600 0.1150
6 Al 0.7625 0.1583 0.1617
7 Al 0.0000 0.8400 0.8850
8 Al 0.0000 0.8506 0.2500
9 Al 0.1583 0.7625 0.1617
10 Al 0.6042 0.8417 0.1617
11 Al 0.7526 0.2474 0.0000
12 Al 0.5565 0.4041 0.7500
13 Al 0.4435 0.5959 0.2500
14 Al 0.0000 0.2565 0.5298
15 Al 0.0000 0.2565 0.9702
16 Al 0.2565 0.2565 0.4701
17 Al 0.6042 0.8417 0.3383
18 Al 0.8476 0.4435 0.7500
19 Al 0.7625 0.1583 0.3383
20 Al 0.1494 0.0000 0.7500
21 Al 0.7435 0.7435 0.5298
22 Al 0.0000 0.1494 0.7500
23 Al 0.2375 0.3958 0.1617
24 Al 0.8400 0.8400 0.1150
25 Al 0.3333 0.6667 0.8754
26 Al 0.6042 0.7625 0.6617
27 Al 0.8417 0.6042 0.1617
28 Al 0.7435 0.0000 0.4701
29 Al 0.8400 0.0000 0.6150
30 Al 0.5959 0.4435 0.2500
31 Al 0.2375 0.8417 0.6617
32 Al 0.8400 0.8400 0.3850
33 Al 0.0000 0.8400 0.6150
34 Al 0.3958 0.2375 0.3383
35 Al 0.4435 0.8476 0.7500
36 Al 0.6667 0.3333 0.8754
37 Al 0.8506 0.8506 0.7500
38 Al 0.6042 0.7625 0.8383
39 Al 0.2474 0.4948 0.5000
40 Al 0.6667 0.3333 0.6246
41 Al 0.5052 0.7526 0.5000
42 Al 0.2474 0.7526 0.0000
43 Al 0.7625 0.6042 0.8383
44 Al 0.7526 0.5052 0.5000
45 Al 0.3333 0.6667 0.6246
46 Al 0.7435 0.7435 0.9702
47 Al 0.7625 0.6042 0.6617
48 Al 0.2565 0.0000 0.9702
49 Al 0.0000 0.7435 0.0299
50 Al 0.8417 0.2375 0.8383
51 Al 0.5052 0.7526 0.0000
52 Al 0.8417 0.2375 0.6617
53 Al 0.5959 0.1524 0.7500
54 Al 0.6667 0.3333 0.3754
55 Al 0.1600 0.0000 0.1150
56 Al 0.4041 0.5565 0.7500
57 Al 0.8476 0.4041 0.2500
58 Al 0.5565 0.1524 0.2500
59 Al 0.8400 0.0000 0.8850
60 Al 0.1600 0.1600 0.8850
61 Al 0.8506 0.0000 0.2500
62 Al 0.7435 0.0000 0.0299
63 Al 0.3333 0.6667 0.3754
64 Al 0.1583 0.7625 0.3383
65 Al 0.1524 0.5565 0.2500
66 Al 0.4041 0.8476 0.2500
67 Al 0.0000 0.1600 0.3850
68 Al 0.7526 0.5052 0.0000
69 Al 0.4948 0.2474 0.5000
70 Al 0.2474 0.4948 0.0000
71 Al 0.1494 0.1494 0.2500
72 Al 0.0000 0.7435 0.4701
73 Al 0.2375 0.3958 0.3383
74 Al 0.2474 0.7526 0.5000
75 Al 0.1600 0.1600 0.6150
76 Al 0.8417 0.6042 0.3383
77 Al 0.3333 0.6667 0.1246
78 Al 0.6667 0.3333 0.1246
79 Al 0.2565 0.2565 0.0299
80 Al 0.1524 0.5959 0.7500
81 Al 0.1600 0.0000 0.3850
82 Al 0.4948 0.2474 0.0000
83 Al 0.2375 0.8417 0.8383
84 Al 0.3958 0.1583 0.8383
85 Al 0.3958 0.1583 0.6617
86 Al 0.1583 0.3958 0.6617
87 Ta 0.0000 0.0000 0.0000
88 Ta 0.0000 0.7256 0.7500
89 Ta 0.0000 0.0000 0.5000
90 Ta 0.2745 0.0000 0.2500
91 Ta 0.0000 0.2745 0.2500
92 Ta 0.7255 0.7255 0.2500
93 Ta 0.2744 0.2744 0.7500
94 Ta 0.7256 0.0000 0.7500
95 Lu 0.0000 0.4682 0.4034
96 Lu 0.5318 0.0000 0.5966
97 Lu 0.0000 0.4682 0.0966
98 Lu 0.4682 0.4682 0.5966
99 Lu 0.0000 0.5318 0.9034
100 Lu 0.4682 0.0000 0.0966
101 Lu 0.4682 0.0000 0.4034
102 Lu 0.4682 0.4682 0.9034
103 Lu 0.5318 0.5318 0.0966
104 Lu 0.5318 0.5318 0.4034
105 Lu 0.5318 0.0000 0.9034
106 Lu 0.0000 0.5318 0.5966

The total energy comes out at -13.754 eV/atom.

---

4.
Crystalline Ti10O13 at its relaxed geometry. Source: the Materials Project database, functional r2SCAN.

Cell: 12.0732 4.1303 5.0766 Å, 114.02 86.07 89.99°
Sites, in units of the cell vectors:
1 Ti 0.3182 0.7812 0.5626
2 Ti 0.9237 0.2940 0.5881
3 Ti 0.7634 0.9236 0.8469
4 Ti 0.0665 0.6803 0.3605
5 Ti 0.1523 0.3998 0.7998
6 Ti 0.5364 0.8474 0.6947
7 Ti 0.6213 0.5381 0.0763
8 Ti 0.2323 0.0615 0.1231
9 Ti 0.4609 0.1674 0.3351
10 Ti 0.8482 0.6143 0.2284
11 O 0.8441 0.1104 0.2205
12 O 0.7722 0.4166 0.8330
13 O 0.6923 0.7309 0.4616
14 O 0.3027 0.2683 0.5366
15 O 0.5405 0.3514 0.7026
16 O 0.9188 0.8116 0.6233
17 O 0.0819 0.1931 0.3863
18 O 0.3885 0.9701 0.9402
19 O 0.6124 0.0451 0.0901
20 O 0.9961 0.4915 0.9829
21 O 0.4659 0.6497 0.2998
22 O 0.1519 0.8723 0.7446
23 O 0.2327 0.5891 0.1784

The total energy comes out at -11.986 eV/atom.

---

5.
Crystalline Ga2S3 at its relaxed geometry. Source: the Materials Project database, functional r2SCAN.

Cell: 6.4552 6.4766 7.0534 Å, 116.54 90.00 119.89°
Sites, in units of the cell vectors:
1 Ga 0.2692 0.4057 0.1196
2 Ga 0.1365 0.4057 0.6196
3 Ga 0.4472 0.0881 0.6291
4 Ga 0.6410 0.0881 0.1291
5 S 0.4285 0.6799 0.5028
6 S 0.9110 0.0012 0.9856
7 S 0.7605 0.3470 0.5119
8 S 0.0902 0.0012 0.4856
9 S 0.5865 0.3470 0.0119
10 S 0.2514 0.6799 0.0028

The total energy comes out at -10.195 eV/atom.

---

6.
Crystalline Na2CrNiF7 at its relaxed geometry. Source: the Materials Project database, functional r2SCAN.

Cell: 7.2268 7.2268 7.2268 Å, 120.87 118.66 90.43°
Sites, in units of the cell vectors:
1 F 0.8916 0.7500 0.1416
2 F 0.6782 0.9156 0.3623
3 F 0.6790 0.4088 0.2702
4 F 0.3613 0.0912 0.2702
5 F 0.6782 0.3159 0.7626
6 F 0.0533 0.4156 0.2374
7 F 0.0533 0.8159 0.6377
8 F 0.1084 0.2500 0.8584
9 F 0.3218 0.6841 0.2374
10 F 0.6387 0.9088 0.7298
11 F 0.9467 0.1841 0.3623
12 F 0.9467 0.5844 0.7626
13 F 0.3218 0.0844 0.6377
14 F 0.3210 0.5912 0.7298
15 Ni 0.0000 0.5000 0.0000
16 Ni 0.0000 0.0000 0.5000
17 Cr 0.5000 0.0000 0.5000
18 Cr 0.0000 0.5000 0.5000
19 Na 0.5000 0.5000 0.0000
20 Na 0.5000 0.0000 0.0000
21 Na 0.0000 0.0000 0.0000
22 Na 0.5000 0.5000 0.5000

The total energy comes out at -7.946 eV/atom.

---

7.
Crystalline As2O3 at its relaxed geometry. Source: the Materials Project database, functional r2SCAN.

Cell: 4.5561 8.2824 9.0518 Å, 77.62 90.00 90.00°
Sites, in units of the cell vectors:
1 O 0.6772 0.5709 0.9640
2 O 0.5464 0.9636 0.9360
3 O 0.5025 0.2233 0.6059
4 O 0.6826 0.5443 0.5606
5 O 0.0464 0.0364 0.0640
6 O 0.3584 0.9335 0.5469
7 O 0.1772 0.4291 0.0360
8 O 0.8584 0.0665 0.4531
9 O 0.0025 0.7767 0.3941
10 O 0.2580 0.7187 0.1066
11 O 0.1826 0.4557 0.4394
12 O 0.7580 0.2813 0.8934
13 As 0.8658 0.5788 0.3790
14 As 0.8738 0.0790 0.8787
15 As 0.3658 0.4212 0.6210
16 As 0.4829 0.1314 0.4415
17 As 0.7997 0.3687 0.0597
18 As 0.9829 0.8686 0.5585
19 As 0.2997 0.6313 0.9403
20 As 0.3738 0.9210 0.1213

The total energy comes out at -10.742 eV/atom.

---

8.
Crystalline V2H3O5 at its relaxed geometry. Source: the Materials Project database, functional r2SCAN.

Cell: 6.2482 6.2482 4.7661 Å, 80.89 80.89 27.90°
Sites, in units of the cell vectors:
1 O 0.3923 0.3923 0.1200
2 O 0.7003 0.7003 0.3537
3 O 0.9984 0.9984 0.4919
4 O 0.3040 0.3040 0.6685
5 O 0.6012 0.6012 0.8813
6 H 0.3306 0.3306 0.8587
7 H 0.4725 0.4725 0.0216
8 H 0.6433 0.6433 0.0432
9 V 0.1399 0.1399 0.5881
10 V 0.8670 0.8670 0.4010

The total energy comes out at -8.779 eV/atom.